Record 1
Below is an optimized crystal structure of Li2MnCO4, with properties calculated at the PBE+U level.

Results
Formation energy from the elements   -2.08 eV per atom
Theoretical density   2.5 Mg/m³
Symmetry   P2_1/c

Lattice parameters (Å, degrees): 6.8548 5.1200 11.0410 90.00 95.60 90.00
Closest atoms and distances in Å follow each position.
Fractional positions:
Li  0.1179  0.1533  0.2859  3 O 1.90-2.04
Li  0.1179  0.3467  0.7859  3 O 1.90-2.04
Li  0.2193  0.1851  0.5708  3 O 1.87-2.04
Li  0.2193  0.3149  0.0708  3 O 1.87-2.04
Li  0.7807  0.6851  0.9292  3 O 1.87-2.04
Li  0.7807  0.8149  0.4292  3 O 1.87-2.04
Li  0.8821  0.6533  0.2141  3 O 1.90-2.04
Li  0.8821  0.8467  0.7141  3 O 1.90-2.04
Mn  0.4847  0.6462  0.6564  3 O 1.98-2.15
Mn  0.4847  0.8538  0.1564  3 O 1.98-2.15
Mn  0.5153  0.1462  0.8436  3 O 1.98-2.15
Mn  0.5153  0.3538  0.3436  3 O 1.98-2.15
C  0.1866  0.6868  0.4358  3 O 1.30-1.31
C  0.1866  0.8132  0.9358  3 O 1.30-1.31
C  0.8134  0.1868  0.0642  3 O 1.30-1.31
C  0.8134  0.3132  0.5642  3 O 1.30-1.31
O  0.0600  0.7012  0.8567  1 C 1.30
O  0.0600  0.7988  0.3567  1 C 1.30
O  0.2237  0.0637  0.9275  1 C 1.31
O  0.2237  0.4363  0.4275  1 C 1.31
O  0.2763  0.6762  0.0232  1 C 1.30
O  0.2763  0.8238  0.5232  1 C 1.30
O  0.3553  0.1734  0.2103  2 Li 1.87-1.90, 2 Mn 1.98
O  0.3553  0.3266  0.7103  2 Li 1.87-1.90, 2 Mn 1.98
O  0.6447  0.6734  0.2897  2 Li 1.87-1.90, 2 Mn 1.98
O  0.6447  0.8266  0.7897  2 Li 1.87-1.90, 2 Mn 1.98
O  0.7237  0.1762  0.4768  1 C 1.30
O  0.7237  0.3238  0.9768  1 C 1.30
O  0.7763  0.5637  0.5725  1 C 1.31
O  0.7763  0.9363  0.0725  1 C 1.31
O  0.9400  0.2012  0.6433  1 C 1.30
O  0.9400  0.2988  0.1433  1 C 1.30

Record 2
Below is an optimized crystal structure of KBiW2O8, with properties calculated at the PBE+U level.

Results
Formation energy from the elements   -2.15 eV per atom
Theoretical density   7.1 Mg/m³
Symmetry   C2/c

Lattice parameters (Å, degrees): 7.7885 7.7885 7.5320 117.72 117.72 88.89
Closest atoms and distances in Å follow each position.
Fractional positions:
K  0.2133  0.7867  0.7500  10 O 2.88-3.13
K  0.7867  0.2133  0.2500  10 O 2.88-3.13
Bi  0.2197  0.7803  0.2500  6 O 2.33-2.44
Bi  0.7803  0.2197  0.7500  6 O 2.33-2.44
W  0.3010  0.3102  0.2860  4 O 1.84-2.02
W  0.3102  0.3010  0.7860  4 O 1.84-2.02
W  0.6898  0.6990  0.2140  4 O 1.84-2.02
W  0.6990  0.6898  0.7140  4 O 1.84-2.02
O  0.0434  0.2270  0.6839  1 W 1.84
O  0.0598  0.3657  0.1337  1 W 1.86
O  0.2270  0.0434  0.1839  1 W 1.84
O  0.2540  0.3700  0.5571  2 W 1.90-2.08
O  0.3657  0.0598  0.6337  1 W 1.86
O  0.3700  0.2540  0.0571  2 W 1.90-2.08
O  0.3756  0.5923  0.0281  2 W 2.02-2.11
O  0.4077  0.6244  0.4719  2 W 2.02-2.11
O  0.5923  0.3756  0.5281  2 W 2.02-2.11
O  0.6244  0.4077  0.9719  2 W 2.02-2.11
O  0.6300  0.7460  0.9429  2 W 1.90-2.08
O  0.6343  0.9402  0.3663  1 W 1.86
O  0.7460  0.6300  0.4429  2 W 1.90-2.08
O  0.7730  0.9566  0.8161  1 W 1.84
O  0.9402  0.6343  0.8663  1 W 1.86
O  0.9566  0.7730  0.3161  1 W 1.84

Record 3
Below is an optimized crystal structure of Li3Fe2Si2O8, with properties calculated at the PBE+U level.

Results
Formation energy from the elements   -2.48 eV per atom
Theoretical density   2.9 Mg/m³
Polymorph energy (0 for the lowest one)   0.040 eV/atom
Symmetry   Pc

Lattice parameters (Å, degrees): 6.6224 5.1110 10.7485 90.00 90.66 90.00
Closest atoms and distances in Å follow each position.
Fractional positions:
Li  0.0000  0.0642  0.0000  4 O 1.95-2.08
Li  0.0000  0.9358  0.5000  4 O 1.95-2.08
Li  0.0030  0.4308  0.8310  3 O 1.92-2.02
Li  0.0030  0.5692  0.3310  3 O 1.92-2.02
Li  0.7793  0.0664  0.2360  3 O 1.95-2.09
Li  0.7793  0.9336  0.7360  3 O 1.95-2.09
Fe  0.4849  0.0497  0.0127  3 O 1.91-2.13
Fe  0.4849  0.9503  0.5127  3 O 1.91-2.13
Fe  0.4965  0.4367  0.8188  4 O 1.86-1.96
Fe  0.4965  0.5633  0.3188  4 O 1.86-1.96
Si  0.2336  0.0727  0.2515  4 O 1.62-1.72
Si  0.2336  0.9273  0.7515  4 O 1.62-1.72
Si  0.7544  0.4351  0.5709  4 O 1.58-1.70
Si  0.7544  0.5649  0.0709  4 O 1.58-1.70
O  0.0316  0.0393  0.8157  1 Si 1.62
O  0.0316  0.9607  0.3157  1 Si 1.62
O  0.2403  0.0091  0.1033  1 Si 1.63
O  0.2403  0.9909  0.6033  1 Si 1.63
O  0.2573  0.3898  0.2798  1 Si 1.66
O  0.2573  0.6102  0.7798  1 Si 1.66
O  0.4499  0.0589  0.8155  1 Si 1.72
O  0.4499  0.9411  0.3155  1 Si 1.72
O  0.5443  0.4610  0.9951  1 Si 1.69
O  0.5443  0.5390  0.4951  1 Si 1.69
O  0.7274  0.4679  0.2208  1 Si 1.70
O  0.7274  0.5321  0.7208  1 Si 1.70
O  0.7422  0.1097  0.5711  1 Si 1.67
O  0.7422  0.8903  0.0711  1 Si 1.67
O  0.9442  0.4406  0.0055  1 Si 1.58
O  0.9442  0.5594  0.5055  1 Si 1.58

Record 4
Below is an optimized crystal structure of Li3NiO2F, with properties calculated at the PBE+U level.

Results
Formation energy from the elements   -2.04 eV per atom
Theoretical density   2.9 Mg/m³
Symmetry   Pnnm

Lattice parameters (Å, degrees): 8.5691 9.5221 3.6160 90.00 90.00 90.00
Closest atoms and distances in Å follow each position.
Fractional positions:
Li  0.0994  0.1616  0.0000  1 F 1.88, 2 O 1.93
Li  0.1449  0.9217  0.5000  1 O 1.91, 2 F 1.96
Li  0.1568  0.3293  0.5000  1 F 1.93, 3 O 1.95-1.98
Li  0.3432  0.8293  0.0000  1 F 1.93, 3 O 1.95-1.98
Li  0.3551  0.4217  0.0000  1 O 1.91, 2 F 1.96
Li  0.4006  0.6616  0.5000  1 F 1.88, 2 O 1.93
Li  0.5994  0.3384  0.5000  1 F 1.88, 2 O 1.93
Li  0.6449  0.5783  0.0000  1 O 1.91, 2 F 1.96
Li  0.6568  0.1707  0.0000  1 F 1.93, 3 O 1.95-1.98
Li  0.8432  0.6707  0.5000  1 F 1.93, 3 O 1.95-1.98
Li  0.8551  0.0783  0.5000  1 O 1.91, 2 F 1.96
Li  0.9006  0.8384  0.0000  1 F 1.88, 2 O 1.93
Ni  0.1193  0.6021  0.0000  3 O 1.87-2.05
Ni  0.3807  0.1021  0.5000  3 O 1.87-2.05
Ni  0.6193  0.8979  0.5000  3 O 1.87-2.05
Ni  0.8807  0.3979  0.0000  3 O 1.87-2.05
O  0.1022  0.3879  0.0000  2 Ni 1.90-2.05, 2 Li 1.95
O  0.1633  0.1216  0.5000  1 Ni 1.87, 4 Li 1.91-1.98
O  0.3367  0.6216  0.0000  1 Ni 1.87, 4 Li 1.91-1.98
O  0.3978  0.8879  0.5000  2 Ni 1.90-2.05, 2 Li 1.95
O  0.6022  0.1121  0.5000  2 Ni 1.90-2.05, 2 Li 1.95
O  0.6633  0.3784  0.0000  1 Ni 1.87, 4 Li 1.91-1.98
O  0.8367  0.8784  0.5000  1 Ni 1.87, 4 Li 1.91-1.98
O  0.8978  0.6121  0.0000  2 Ni 1.90-2.05, 2 Li 1.95
F  0.1193  0.8467  0.0000  4 Li 1.88-1.96
F  0.3807  0.3467  0.5000  4 Li 1.88-1.96
F  0.6193  0.6533  0.5000  4 Li 1.88-1.96
F  0.8807  0.1533  0.0000  4 Li 1.88-1.96

Record 5
Below is an optimized crystal structure of Li4CrGa3O8, with properties calculated at the PBE+U level.

Results
Formation energy from the elements   -2.29 eV per atom
Piezoelectric modulus e_max   1.29 C/m²
Theoretical density   3.8 Mg/m³

Lattice parameters (Å, degrees): 5.5532 8.2382 8.2096 104.60 91.56 88.53
Closest atoms and distances in Å follow each position.
Fractional positions:
Li  0.0800  0.8078  0.1831  4 O 2.02-2.03
Li  0.0801  0.3078  0.6832  4 O 2.02-2.03
Li  0.4180  0.3092  0.1870  4 O 1.95-2.05
Li  0.4181  0.8093  0.6870  4 O 1.95-2.05
Li  0.5801  0.9308  0.0595  4 O 2.01-2.08
Li  0.5800  0.4309  0.5597  4 O 2.01-2.08
Li  0.9173  0.4380  0.0578  4 O 2.00-2.02
Li  0.9173  0.9381  0.5579  4 O 2.00-2.02
Cr  0.9137  0.1863  0.3049  4 O 1.91-1.94
Cr  0.9142  0.6863  0.8048  4 O 1.91-1.94
Ga  0.0908  0.0669  0.9344  4 O 1.87-1.88
Ga  0.0908  0.5670  0.4344  4 O 1.87-1.88
Ga  0.4113  0.5586  0.9391  4 O 1.86-1.88
Ga  0.4112  0.0585  0.4389  4 O 1.86-1.88
Ga  0.5827  0.1851  0.8145  4 O 1.87-1.88
Ga  0.5827  0.6851  0.3145  4 O 1.87-1.88
O  0.0848  0.2480  0.1275  1 Ga 1.88, 1 Cr 1.94, 2 Li 1.95-2.00
O  0.0850  0.7481  0.6275  1 Ga 1.88, 1 Cr 1.94, 2 Li 1.95-2.00
O  0.0871  0.5135  0.8790  1 Ga 1.88, 1 Cr 1.91, 2 Li 2.00-2.02
O  0.0869  0.0135  0.3790  1 Ga 1.88, 1 Cr 1.91, 2 Li 2.00-2.02
O  0.4124  0.5160  0.3765  2 Ga 1.87-1.88, 2 Li 2.00-2.01
O  0.4124  0.0160  0.8765  2 Ga 1.87-1.88, 2 Li 2.00-2.01
O  0.4266  0.7406  0.1306  2 Ga 1.87-1.88, 2 Li 2.02
O  0.4266  0.2405  0.6304  2 Ga 1.87-1.88, 2 Li 2.02
O  0.5706  0.3764  0.9960  2 Ga 1.87-1.88, 2 Li 2.00-2.02
O  0.5706  0.8765  0.4960  2 Ga 1.88, 2 Li 2.00-2.02
O  0.5818  0.6201  0.7729  1 Ga 1.86, 1 Cr 1.93, 2 Li 2.03-2.05
O  0.5817  0.1200  0.2728  1 Ga 1.86, 1 Cr 1.93, 2 Li 2.03-2.05
O  0.9061  0.6298  0.2643  2 Ga 1.87-1.88, 2 Li 2.01-2.03
O  0.9061  0.1298  0.7643  2 Ga 1.87-1.88, 2 Li 2.01-2.03
O  0.9363  0.8859  0.9862  1 Ga 1.88, 1 Cr 1.92, 2 Li 2.02-2.08
O  0.9364  0.3860  0.4863  1 Ga 1.88, 1 Cr 1.93, 2 Li 2.02-2.08

Record 6
Below is an optimized crystal structure of LiCrFeO4, with properties calculated at the PBE+U level.

Results
Formation energy from the elements   -1.98 eV per atom
Theoretical density   4.0 Mg/m³
Polymorph energy (0 for the lowest one)   0.000 eV/atom
Symmetry   Imma

Lattice parameters (Å, degrees): 5.9490 5.9490 5.9490 120.54 118.81 90.57
Closest atoms and distances in Å follow each position.
Fractional positions:
Li  0.3760  0.1260  0.2500  4 O 2.01-2.04
Li  0.6240  0.8740  0.7500  4 O 2.01-2.04
Cr  0.0000  0.0000  0.5000  6 O 1.93-1.97
Cr  0.0000  0.5000  0.0000  6 O 1.93-1.97
Fe  0.0000  0.5000  0.5000  6 O 2.04
Fe  0.5000  0.5000  0.0000  6 O 2.04
O  0.2084  0.7427  0.4658  2 Cr 1.97, 1 Fe 2.04, 1 Li 2.04
O  0.2231  0.2573  0.9658  2 Cr 1.97, 1 Fe 2.04, 1 Li 2.04
O  0.2302  0.2499  0.5197  1 Cr 1.93, 1 Li 2.01, 2 Fe 2.04
O  0.2302  0.7105  0.9803  1 Cr 1.93, 1 Li 2.01, 2 Fe 2.04
O  0.7698  0.2895  0.0197  1 Cr 1.93, 1 Li 2.01, 2 Fe 2.04
O  0.7698  0.7501  0.4803  1 Cr 1.93, 1 Li 2.01, 2 Fe 2.04
O  0.7769  0.7427  0.0342  2 Cr 1.97, 1 Fe 2.04, 1 Li 2.04
O  0.7916  0.2573  0.5342  2 Cr 1.97, 1 Fe 2.04, 1 Li 2.04

Record 7
Below is an optimized crystal structure of KMnSe2O8, with properties calculated at the PBE+U level.

Results
Formation energy from the elements   -1.51 eV per atom
Theoretical density   3.3 Mg/m³

Lattice parameters (Å, degrees): 5.6028 8.1497 8.3544 83.29 87.84 87.68
Closest atoms and distances in Å follow each position.
Fractional positions:
K  0.0000  0.5000  0.0000  6 O 2.85-2.93
K  0.5000  0.5000  0.5000  6 O 2.85-2.93
Mn  0.5000  0.0000  0.5000  4 O 1.95-1.97
Mn  0.0000  0.0000  0.0000  4 O 1.95-1.97
Se  0.0059  0.2033  0.6239  4 O 1.64-1.71
Se  0.5059  0.2033  0.1239  4 O 1.64-1.71
Se  0.9941  0.7967  0.3761  4 O 1.64-1.71
Se  0.4941  0.7967  0.8761  4 O 1.64-1.71
O  0.2662  0.1865  0.5114  1 Se 1.71
O  0.7662  0.1865  0.0114  1 Se 1.71
O  0.7338  0.8135  0.4886  1 Se 1.71
O  0.2338  0.8135  0.9886  1 Se 1.71
O  0.9983  0.9640  0.2354  1 Se 1.69
O  0.4983  0.9640  0.7354  1 Se 1.69
O  0.0017  0.0360  0.7646  1 Se 1.69
O  0.5017  0.0360  0.2646  1 Se 1.69
O  0.0039  0.3852  0.6899  1 Se 1.64
O  0.5039  0.3852  0.1899  1 Se 1.64
O  0.9961  0.6148  0.3101  1 Se 1.64
O  0.4961  0.6148  0.8101  1 Se 1.64
O  0.7794  0.1885  0.5034  1 Se 1.67
O  0.2794  0.1885  0.0034  1 Se 1.67
O  0.2206  0.8115  0.4966  1 Se 1.67
O  0.7206  0.8115  0.9966  1 Se 1.67

Record 8
Below is an optimized crystal structure of Li9Mn2Co5O16, with properties calculated at the PBE+U level.

Results
Formation energy from the elements   -1.84 eV per atom
Theoretical density   4.2 Mg/m³
Polymorph energy (0 for the lowest one)   0.028 eV/atom
Symmetry   P-1

Lattice parameters (Å, degrees): 5.8660 5.8771 10.1111 88.91 73.27 60.24
Closest atoms and distances in Å follow each position.
Fractional positions:
Li  0.0000  0.0000  0.0000  6 O 2.08-2.18
Li  0.0000  0.0000  0.5000  6 O 2.07-2.19
Li  0.0000  0.5000  0.0000  6 O 2.11-2.20
Li  0.0000  0.5000  0.5000  6 O 2.08-2.23
Li  0.0060  0.2458  0.2452  6 O 2.02-2.24
Li  0.0188  0.7318  0.2378  5 O 2.12-2.24
Li  0.5000  0.5000  0.0000  6 O 2.09-2.11
Li  0.9812  0.2682  0.7622  5 O 2.12-2.24
Li  0.9940  0.7542  0.7548  6 O 2.02-2.24
Mn  0.5000  0.0000  0.0000  6 O 1.95-1.96
Mn  0.5000  0.5000  0.5000  6 O 1.94-1.96
Co  0.4952  0.7491  0.7573  4 O 1.87-2.08
Co  0.4967  0.2583  0.7540  6 O 1.93-2.06
Co  0.5000  0.0000  0.5000  4 O 1.90-1.95
Co  0.5033  0.7417  0.2460  6 O 1.93-2.06
Co  0.5048  0.2509  0.2427  4 O 1.87-2.08
O  0.2638  0.1195  0.8806  1 Mn 1.96, 2 Co 2.06-2.08, 3 Li 2.08-2.15
O  0.2653  0.3872  0.6237  1 Mn 1.94, 2 Co 2.03-2.16, 2 Li 2.10-2.12
O  0.2684  0.6126  0.3783  1 Mn 1.96, 2 Co 2.05-2.10, 3 Li 2.08-2.19
O  0.2714  0.3428  0.1195  1 Mn 1.95, 1 Co 1.99, 4 Li 2.02-2.14
O  0.2705  0.6255  0.8622  2 Co 1.87-2.01, 2 Li 2.04-2.09
O  0.2764  0.8737  0.1251  1 Co 1.93, 1 Mn 1.96, 3 Li 2.08-2.12
O  0.2824  0.8547  0.6083  2 Co 1.95-2.12, 1 Mn 1.95, 1 Li 2.07
O  0.2966  0.1022  0.3715  3 Co 1.90-2.06
O  0.7034  0.8978  0.6285  3 Co 1.90-2.06
O  0.7176  0.1453  0.3917  2 Co 1.95-2.12, 1 Mn 1.95, 1 Li 2.07
O  0.7236  0.1263  0.8749  1 Co 1.93, 1 Mn 1.96, 3 Li 2.08-2.12
O  0.7295  0.3745  0.1378  2 Co 1.87-2.01, 2 Li 2.04-2.09
O  0.7286  0.6572  0.8805  1 Mn 1.95, 1 Co 1.99, 4 Li 2.02-2.14
O  0.7316  0.3874  0.6217  1 Mn 1.96, 2 Co 2.05-2.10, 3 Li 2.08-2.19
O  0.7347  0.6128  0.3763  1 Mn 1.94, 2 Co 2.03-2.16, 2 Li 2.10-2.12
O  0.7362  0.8805  0.1194  1 Mn 1.96, 2 Co 2.06-2.08, 3 Li 2.08-2.15

> Look up the theoretical density of the third one.

2.9 Mg/m³